A geometry-optimized KFeP4H4O14 structure. Source: the Materials Project database, functional PBE+U.

Output
As for the calculated formation energy: -2262 meV/atom.

Unit cell a=7.9981 b=10.4020 c=15.0193 alpha=105.93 beta=93.29 gamma=79.62
Atoms (fractional coordinates):
1 K 0.0000 0.2500 0.7500
2 K 0.0000 0.5000 0.5000
3 K 0.0000 0.0000 0.0000
4 K 0.0000 0.7500 0.2500
5 Fe 0.0001 0.6251 0.8750
6 Fe 0.9999 0.8751 0.6250
7 Fe 0.9999 0.3751 0.1250
8 Fe 0.0000 0.1249 0.3749
9 P 0.3190 0.5022 0.7287
10 P 0.3190 0.7523 0.4787
11 P 0.3190 0.2522 0.9787
12 P 0.3191 0.0023 0.2287
13 P 0.6810 0.9977 0.7712
14 P 0.6810 0.2478 0.5213
15 P 0.6810 0.7477 0.0213
16 P 0.6810 0.4977 0.2713
17 P 0.2319 0.8026 0.7996
18 P 0.2318 0.0527 0.5496
19 P 0.2318 0.5526 0.0496
20 P 0.2318 0.3027 0.2995
21 P 0.7682 0.6973 0.7004
22 P 0.7682 0.9473 0.4504
23 P 0.7682 0.4473 0.9504
24 P 0.7681 0.1974 0.2004
25 H 0.4180 0.8586 0.9176
26 H 0.4181 0.1085 0.6676
27 H 0.4180 0.6086 0.1676
28 H 0.4180 0.3586 0.4176
29 H 0.5820 0.6414 0.5824
30 H 0.5820 0.8915 0.3324
31 H 0.5819 0.3914 0.8323
32 H 0.5820 0.1414 0.0824
33 H 0.3833 0.4213 0.5794
34 H 0.3833 0.6713 0.3294
35 H 0.3833 0.1713 0.8294
36 H 0.3833 0.9213 0.0794
37 H 0.6167 0.0787 0.9206
38 H 0.6167 0.3287 0.6706
39 H 0.6167 0.8287 0.1706
40 H 0.6167 0.5787 0.4206
41 O 0.1583 0.4939 0.7748
42 O 0.1583 0.7439 0.5249
43 O 0.1582 0.2439 0.0248
44 O 0.1583 0.9939 0.2748
45 O 0.8417 0.0061 0.7252
46 O 0.8417 0.2561 0.4752
47 O 0.8417 0.7561 0.9752
48 O 0.8417 0.5061 0.2252
49 O 0.4825 0.4139 0.7467
50 O 0.4826 0.6640 0.4967
51 O 0.4825 0.1640 0.9967
52 O 0.4825 0.9140 0.2467
53 O 0.5174 0.0859 0.7532
54 O 0.5175 0.3361 0.5033
55 O 0.5176 0.8362 0.0034
56 O 0.5176 0.5862 0.2534
57 O 0.0809 0.7836 0.8499
58 O 0.0809 0.0336 0.5998
59 O 0.0809 0.5336 0.0998
60 O 0.0810 0.2836 0.3499
61 O 0.9191 0.7163 0.6501
62 O 0.9191 0.9664 0.4002
63 O 0.9191 0.4664 0.9002
64 O 0.9190 0.2164 0.1501
65 O 0.8139 0.6338 0.7798
66 O 0.8140 0.8837 0.5297
67 O 0.8140 0.3837 0.0297
68 O 0.8138 0.1339 0.2798
69 O 0.1861 0.8660 0.7202
70 O 0.1859 0.1163 0.4703
71 O 0.1860 0.6161 0.9703
72 O 0.1860 0.3663 0.2202
73 O 0.3531 0.6573 0.7641
74 O 0.3531 0.9074 0.5140
75 O 0.3531 0.4074 0.0140
76 O 0.3531 0.1574 0.2640
77 O 0.6470 0.8425 0.7360
78 O 0.6469 0.0926 0.4860
79 O 0.6469 0.5926 0.9860
80 O 0.6469 0.3427 0.2360
81 O 0.3437 0.8941 0.8683
82 O 0.3437 0.1441 0.6183
83 O 0.3436 0.6441 0.1183
84 O 0.3437 0.3941 0.3683
85 O 0.6563 0.6059 0.6317
86 O 0.6564 0.8559 0.3817
87 O 0.6563 0.3559 0.8817
88 O 0.6563 0.1059 0.1317
89 O 0.2833 0.4743 0.6215
90 O 0.2832 0.7243 0.3715
91 O 0.2833 0.2243 0.8715
92 O 0.2832 0.9743 0.1215
93 O 0.7167 0.0257 0.8785
94 O 0.7167 0.2757 0.6285
95 O 0.7168 0.7757 0.1285
96 O 0.7167 0.5257 0.3785

=====

A geometry-optimized KVFeP2H5O11 structure. Source: the Materials Project database, functional PBE+U.

Output
As for the calculated formation energy: -2098 meV/atom.

Unit cell a=9.8463 b=9.8001 c=12.3922 alpha=90.00 beta=128.80 gamma=90.00
Atoms (fractional coordinates):
1 K 0.1184 0.1959 0.1005
2 K 0.1184 0.3041 0.6005
3 K 0.8816 0.6959 0.3995
4 K 0.8816 0.8041 0.8995
5 V 0.4776 0.0483 0.8688
6 V 0.4776 0.4517 0.3688
7 V 0.5224 0.5483 0.6312
8 V 0.5224 0.9517 0.1312
9 Fe 0.2151 0.7290 0.8110
10 Fe 0.2151 0.7710 0.3110
11 Fe 0.7849 0.2290 0.6890
12 Fe 0.7849 0.2710 0.1890
13 P 0.1425 0.0291 0.8526
14 P 0.1425 0.4709 0.3526
15 P 0.3401 0.6783 0.1285
16 P 0.3401 0.8217 0.6285
17 P 0.6599 0.1783 0.3715
18 P 0.6599 0.3217 0.8715
19 P 0.8575 0.5291 0.6474
20 P 0.8575 0.9709 0.1474
21 H 0.1591 0.1509 0.3851
22 H 0.1591 0.3491 0.8851
23 H 0.2968 0.0863 0.5335
24 H 0.2968 0.4137 0.0335
25 H 0.3521 0.0254 0.3978
26 H 0.3521 0.4746 0.8978
27 H 0.4360 0.5247 0.8249
28 H 0.4360 0.9753 0.3249
29 H 0.4576 0.2037 0.0294
30 H 0.4576 0.2963 0.5294
31 H 0.5424 0.7037 0.4706
32 H 0.5424 0.7963 0.9706
33 H 0.5640 0.0247 0.6751
34 H 0.5640 0.4753 0.1751
35 H 0.6479 0.5254 0.1022
36 H 0.6479 0.9746 0.6022
37 H 0.7032 0.5863 0.9665
38 H 0.7032 0.9137 0.4665
39 H 0.8409 0.6509 0.1149
40 H 0.8409 0.8491 0.6149
41 O 0.0010 0.6226 0.6759
42 O 0.0010 0.8774 0.1759
43 O 0.0639 0.6123 0.2811
44 O 0.0639 0.8877 0.7811
45 O 0.2144 0.7273 0.1548
46 O 0.2144 0.7727 0.6548
47 O 0.2355 0.6649 0.9712
48 O 0.2355 0.8351 0.4712
49 O 0.2370 0.0935 0.8011
50 O 0.2370 0.4065 0.3011
51 O 0.2731 0.0101 0.0124
52 O 0.2731 0.4899 0.5124
53 O 0.2842 0.1493 0.4656
54 O 0.2842 0.3507 0.9656
55 O 0.3541 0.5486 0.8437
56 O 0.3541 0.9514 0.3437
57 O 0.4097 0.5307 0.1907
58 O 0.4097 0.9693 0.6907
59 O 0.4439 0.6428 0.4406
60 O 0.4439 0.8572 0.9406
61 O 0.4987 0.2285 0.8017
62 O 0.4987 0.2715 0.3017
63 O 0.5013 0.7285 0.6983
64 O 0.5013 0.7715 0.1983
65 O 0.5561 0.1428 0.0594
66 O 0.5561 0.3572 0.5594
67 O 0.5903 0.0307 0.3093
68 O 0.5903 0.4693 0.8093
69 O 0.6459 0.0486 0.6563
70 O 0.6459 0.4514 0.1563
71 O 0.7158 0.6493 0.0344
72 O 0.7158 0.8507 0.5344
73 O 0.7269 0.5101 0.4876
74 O 0.7269 0.9899 0.9876
75 O 0.7630 0.5935 0.6989
76 O 0.7630 0.9065 0.1989
77 O 0.7645 0.1649 0.5288
78 O 0.7645 0.3351 0.0288
79 O 0.7856 0.2273 0.3452
80 O 0.7856 0.2727 0.8452
81 O 0.9361 0.1123 0.2189
82 O 0.9361 0.3877 0.7189
83 O 0.9990 0.1226 0.8241
84 O 0.9990 0.3774 0.3241

=====

A geometry-optimized K2Fe9H18S6O43 structure. Source: the Materials Project database, functional PBE+U.

Output
As for the calculated formation energy: -1600 meV/atom.

Unit cell a=12.3400 b=12.3400 c=10.3542 alpha=112.30 beta=112.30 gamma=35.06
Atoms (fractional coordinates):
1 K 0.1669 0.1669 0.1677
2 K 0.8331 0.8331 0.8323
3 Fe 0.0000 0.0000 0.0000
4 Fe 0.0000 0.5000 0.0000
5 Fe 0.1685 0.6666 0.6657
6 Fe 0.3334 0.8315 0.3343
7 Fe 0.3347 0.3347 0.3338
8 Fe 0.5000 0.0000 0.0000
9 Fe 0.6653 0.6653 0.6662
10 Fe 0.6666 0.1685 0.6657
11 Fe 0.8315 0.3334 0.3343
12 H 0.0189 0.4379 0.7399
13 H 0.1113 0.6852 0.4078
14 H 0.1584 0.1584 0.4611
15 H 0.1742 0.1742 0.8713
16 H 0.2293 0.6470 0.9259
17 H 0.3148 0.8887 0.5922
18 H 0.3530 0.7707 0.0741
19 H 0.4379 0.0189 0.7399
20 H 0.4936 0.4936 0.7885
21 H 0.5064 0.5064 0.2115
22 H 0.5621 0.9811 0.2601
23 H 0.6470 0.2293 0.9259
24 H 0.6852 0.1113 0.4078
25 H 0.7707 0.3530 0.0741
26 H 0.8258 0.8258 0.1287
27 H 0.8416 0.8416 0.5389
28 H 0.8887 0.3148 0.5922
29 H 0.9811 0.5621 0.2601
30 S 0.0383 0.0383 0.7317
31 S 0.2951 0.2951 0.6025
32 S 0.3713 0.3713 0.0631
33 S 0.6287 0.6287 0.9369
34 S 0.7049 0.7049 0.3975
35 S 0.9617 0.9617 0.2683
36 O 0.0560 0.0560 0.8879
37 O 0.0886 0.4674 0.2059
38 O 0.0949 0.0949 0.7031
39 O 0.1182 0.1182 0.3797
40 O 0.1340 0.7554 0.8725
41 O 0.1633 0.8349 0.3310
42 O 0.1651 0.8367 0.6690
43 O 0.1681 0.4971 0.6658
44 O 0.1694 0.4982 0.9989
45 O 0.1959 0.5796 0.4608
46 O 0.2144 0.2144 0.9526
47 O 0.2384 0.2384 0.6308
48 O 0.2446 0.8660 0.1275
49 O 0.2780 0.2780 0.4468
50 O 0.3879 0.3879 0.2179
51 O 0.4204 0.8041 0.5392
52 O 0.4281 0.4281 0.0354
53 O 0.4506 0.4506 0.7180
54 O 0.4674 0.0886 0.2059
55 O 0.4971 0.1681 0.6658
56 O 0.4982 0.1694 0.9989
57 O 0.5000 0.5000 0.5000
58 O 0.5018 0.8306 0.0011
59 O 0.5029 0.8319 0.3342
60 O 0.5326 0.9114 0.7941
61 O 0.5494 0.5494 0.2820
62 O 0.5719 0.5719 0.9646
63 O 0.5796 0.1959 0.4608
64 O 0.6121 0.6121 0.7821
65 O 0.7220 0.7220 0.5532
66 O 0.7554 0.1340 0.8725
67 O 0.7616 0.7616 0.3692
68 O 0.7856 0.7856 0.0474
69 O 0.8041 0.4204 0.5392
70 O 0.8306 0.5018 0.0011
71 O 0.8319 0.5029 0.3342
72 O 0.8349 0.1633 0.3310
73 O 0.8367 0.1651 0.6690
74 O 0.8660 0.2446 0.1275
75 O 0.8818 0.8818 0.6203
76 O 0.9051 0.9051 0.2969
77 O 0.9114 0.5326 0.7941
78 O 0.9440 0.9440 0.1121

=====

A geometry-optimized KFeH5S2O10 structure. Source: the Materials Project database, functional PBE+U.

Output
As for the calculated formation energy: -1713 meV/atom. The calculation puts the energy relative to the lowest polymorph listed for this composition at 0.0 meV per atom.

Unit cell a=9.0434 b=10.5484 c=11.3215 alpha=63.64 beta=70.09 gamma=93.04
Atoms (fractional coordinates):
1 K 0.2495 0.9972 0.2472
2 K 0.7495 0.9973 0.7472
3 K 0.9996 0.4970 0.4972
4 K 0.4996 0.4971 0.9971
5 Fe 0.2548 0.4987 0.7501
6 Fe 0.5045 0.9983 0.5007
7 Fe 0.7548 0.4987 0.2503
8 Fe 0.0050 0.9981 0.0007
9 H 0.5980 0.0286 0.2305
10 H 0.0979 0.0287 0.7305
11 H 0.3484 0.5291 0.4801
12 H 0.8481 0.5290 0.9803
13 H 0.6552 0.4750 0.5192
14 H 0.1550 0.4747 0.0189
15 H 0.4052 0.9747 0.7692
16 H 0.9050 0.9748 0.2693
17 H 0.6677 0.1843 0.2043
18 H 0.1679 0.1843 0.7044
19 H 0.4183 0.6849 0.4537
20 H 0.9185 0.6847 0.9538
21 H 0.5866 0.3157 0.5515
22 H 0.0869 0.3152 0.0515
23 H 0.3369 0.8153 0.8015
24 H 0.8365 0.8154 0.3018
25 H 0.6458 0.2522 0.8666
26 H 0.1455 0.2520 0.3665
27 H 0.3947 0.7521 0.1171
28 H 0.8948 0.7521 0.6171
29 S 0.8741 0.3069 0.8857
30 S 0.3739 0.3068 0.3854
31 S 0.6241 0.8075 0.1352
32 S 0.1241 0.8075 0.6353
33 S 0.3823 0.1937 0.8652
34 S 0.8819 0.1939 0.3651
35 S 0.1322 0.6937 0.1150
36 S 0.6324 0.6938 0.6148
37 O 0.5799 0.0961 0.2700
38 O 0.0799 0.0962 0.7701
39 O 0.3306 0.5966 0.5196
40 O 0.8306 0.5966 0.0196
41 O 0.6693 0.4064 0.4802
42 O 0.1692 0.4062 0.9801
43 O 0.4195 0.9061 0.7303
44 O 0.9193 0.9061 0.2307
45 O 0.7752 0.2605 0.8163
46 O 0.2748 0.2602 0.3161
47 O 0.5247 0.7608 0.0666
48 O 0.0248 0.7608 0.5666
49 O 0.4816 0.2425 0.9275
50 O 0.9812 0.2423 0.4276
51 O 0.2318 0.7421 0.1776
52 O 0.7318 0.7420 0.6777
53 O 0.8921 0.1746 0.9984
54 O 0.3920 0.1747 0.4983
55 O 0.6436 0.6756 0.2473
56 O 0.1436 0.6756 0.7473
57 O 0.3566 0.3219 0.7515
58 O 0.8566 0.3224 0.2515
59 O 0.1066 0.8220 0.0014
60 O 0.6069 0.8223 0.5012
61 O 0.7841 0.3889 0.9493
62 O 0.2841 0.3888 0.4491
63 O 0.5339 0.8886 0.1998
64 O 0.0340 0.8887 0.6998
65 O 0.4693 0.1113 0.7990
66 O 0.9688 0.1117 0.2986
67 O 0.2190 0.6113 0.0485
68 O 0.7192 0.6115 0.5483
69 O 0.0316 0.3949 0.7631
70 O 0.5312 0.3949 0.2627
71 O 0.7810 0.8962 0.0121
72 O 0.2810 0.8962 0.5121
73 O 0.2232 0.1024 0.9876
74 O 0.7227 0.1028 0.4873
75 O 0.9731 0.6028 0.2375
76 O 0.4732 0.6029 0.7370

=====

A geometry-optimized K2FeH4S2O10 structure. Source: the Materials Project database, functional PBE+U.

Output
As for the calculated formation energy: -1835 meV/atom. The calculation puts the energy relative to the lowest polymorph listed for this composition at 2.1 meV per atom.

Unit cell a=9.5384 b=9.6813 c=11.3470 alpha=71.43 beta=83.68 gamma=74.60
Atoms (fractional coordinates):
1 K 0.0493 0.1321 0.3039
2 K 0.2008 0.1180 0.9462
3 K 0.2994 0.3819 0.5540
4 K 0.4505 0.3680 0.1960
5 K 0.5495 0.6320 0.8040
6 K 0.7006 0.6181 0.4460
7 K 0.7992 0.8820 0.0538
8 K 0.9507 0.8679 0.6961
9 Fe 0.0000 0.5000 0.0000
10 Fe 0.2501 0.7497 0.2502
11 Fe 0.5000 0.0000 0.5000
12 Fe 0.7499 0.2503 0.7498
13 H 0.0147 0.2416 0.6751
14 H 0.0554 0.7941 0.4275
15 H 0.1949 0.4568 0.8222
16 H 0.2351 0.0082 0.5750
17 H 0.2649 0.4916 0.9253
18 H 0.3053 0.0438 0.6776
19 H 0.4447 0.7064 0.0725
20 H 0.4853 0.2583 0.8247
21 H 0.5147 0.7417 0.1753
22 H 0.5553 0.2936 0.9275
23 H 0.6947 0.9562 0.3224
24 H 0.7351 0.5084 0.0747
25 H 0.7649 0.9918 0.4250
26 H 0.8051 0.5432 0.1778
27 H 0.9446 0.2059 0.5725
28 H 0.9853 0.7584 0.3249
29 S 0.0724 0.4849 0.2942
30 S 0.1777 0.7650 0.9559
31 S 0.3226 0.7352 0.5441
32 S 0.4274 0.0149 0.2059
33 S 0.5726 0.9851 0.7941
34 S 0.6774 0.2648 0.4559
35 S 0.8223 0.2350 0.0441
36 S 0.9276 0.5151 0.7058
37 O 0.0415 0.8253 0.3377
38 O 0.0432 0.7151 0.9449
39 O 0.0560 0.3622 0.4073
40 O 0.0571 0.3834 0.7232
41 O 0.0960 0.4287 0.1831
42 O 0.1543 0.8213 0.0670
43 O 0.1929 0.8668 0.5267
44 O 0.1938 0.8877 0.8427
45 O 0.2070 0.5344 0.3055
46 O 0.2085 0.4251 0.9121
47 O 0.2915 0.0750 0.5878
48 O 0.2928 0.9651 0.1949
49 O 0.3065 0.6126 0.6575
50 O 0.3075 0.6335 0.9733
51 O 0.3460 0.6787 0.4331
52 O 0.4041 0.0712 0.3170
53 O 0.4429 0.1167 0.7768
54 O 0.4435 0.1377 0.0926
55 O 0.4571 0.7851 0.5551
56 O 0.4585 0.6749 0.1623
57 O 0.5415 0.3251 0.8377
58 O 0.5429 0.2149 0.4449
59 O 0.5565 0.8623 0.9074
60 O 0.5571 0.8833 0.2232
61 O 0.5959 0.9288 0.6830
62 O 0.6540 0.3213 0.5669
63 O 0.6925 0.3665 0.0267
64 O 0.6935 0.3874 0.3425
65 O 0.7072 0.0349 0.8051
66 O 0.7085 0.9250 0.4122
67 O 0.7915 0.5749 0.0879
68 O 0.7930 0.4656 0.6945
69 O 0.8062 0.1123 0.1573
70 O 0.8071 0.1332 0.4733
71 O 0.8457 0.1787 0.9330
72 O 0.9040 0.5713 0.8169
73 O 0.9429 0.6166 0.2768
74 O 0.9440 0.6378 0.5927
75 O 0.9568 0.2849 0.0551
76 O 0.9585 0.1747 0.6623

=====

Q: Which of these has the lowest calculated formation energy?
A: KFeP4H4O14

=====

Copy entry 3 word for word.
A geometry-optimized K2Fe9H18S6O43 structure. Source: the Materials Project database, functional PBE+U.

Output
As for the calculated formation energy: -1600 meV/atom.

Unit cell a=12.3400 b=12.3400 c=10.3542 alpha=112.30 beta=112.30 gamma=35.06
Atoms (fractional coordinates):
1 K 0.1669 0.1669 0.1677
2 K 0.8331 0.8331 0.8323
3 Fe 0.0000 0.0000 0.0000
4 Fe 0.0000 0.5000 0.0000
5 Fe 0.1685 0.6666 0.6657
6 Fe 0.3334 0.8315 0.3343
7 Fe 0.3347 0.3347 0.3338
8 Fe 0.5000 0.0000 0.0000
9 Fe 0.6653 0.6653 0.6662
10 Fe 0.6666 0.1685 0.6657
11 Fe 0.8315 0.3334 0.3343
12 H 0.0189 0.4379 0.7399
13 H 0.1113 0.6852 0.4078
14 H 0.1584 0.1584 0.4611
15 H 0.1742 0.1742 0.8713
16 H 0.2293 0.6470 0.9259
17 H 0.3148 0.8887 0.5922
18 H 0.3530 0.7707 0.0741
19 H 0.4379 0.0189 0.7399
20 H 0.4936 0.4936 0.7885
21 H 0.5064 0.5064 0.2115
22 H 0.5621 0.9811 0.2601
23 H 0.6470 0.2293 0.9259
24 H 0.6852 0.1113 0.4078
25 H 0.7707 0.3530 0.0741
26 H 0.8258 0.8258 0.1287
27 H 0.8416 0.8416 0.5389
28 H 0.8887 0.3148 0.5922
29 H 0.9811 0.5621 0.2601
30 S 0.0383 0.0383 0.7317
31 S 0.2951 0.2951 0.6025
32 S 0.3713 0.3713 0.0631
33 S 0.6287 0.6287 0.9369
34 S 0.7049 0.7049 0.3975
35 S 0.9617 0.9617 0.2683
36 O 0.0560 0.0560 0.8879
37 O 0.0886 0.4674 0.2059
38 O 0.0949 0.0949 0.7031
39 O 0.1182 0.1182 0.3797
40 O 0.1340 0.7554 0.8725
41 O 0.1633 0.8349 0.3310
42 O 0.1651 0.8367 0.6690
43 O 0.1681 0.4971 0.6658
44 O 0.1694 0.4982 0.9989
45 O 0.1959 0.5796 0.4608
46 O 0.2144 0.2144 0.9526
47 O 0.2384 0.2384 0.6308
48 O 0.2446 0.8660 0.1275
49 O 0.2780 0.2780 0.4468
50 O 0.3879 0.3879 0.2179
51 O 0.4204 0.8041 0.5392
52 O 0.4281 0.4281 0.0354
53 O 0.4506 0.4506 0.7180
54 O 0.4674 0.0886 0.2059
55 O 0.4971 0.1681 0.6658
56 O 0.4982 0.1694 0.9989
57 O 0.5000 0.5000 0.5000
58 O 0.5018 0.8306 0.0011
59 O 0.5029 0.8319 0.3342
60 O 0.5326 0.9114 0.7941
61 O 0.5494 0.5494 0.2820
62 O 0.5719 0.5719 0.9646
63 O 0.5796 0.1959 0.4608
64 O 0.6121 0.6121 0.7821
65 O 0.7220 0.7220 0.5532
66 O 0.7554 0.1340 0.8725
67 O 0.7616 0.7616 0.3692
68 O 0.7856 0.7856 0.0474
69 O 0.8041 0.4204 0.5392
70 O 0.8306 0.5018 0.0011
71 O 0.8319 0.5029 0.3342
72 O 0.8349 0.1633 0.3310
73 O 0.8367 0.1651 0.6690
74 O 0.8660 0.2446 0.1275
75 O 0.8818 0.8818 0.6203
76 O 0.9051 0.9051 0.2969
77 O 0.9114 0.5326 0.7941
78 O 0.9440 0.9440 0.1121